[1]
KH9O5 | GGA-PBE | relaxed

a b c (Å): 7.1575 11.2938 7.1721
angles (deg): 90.00 99.18 90.00
Closest atoms and distances in Å follow each position.
Space group P2_1/c (No. 14)
Inequivalent atoms, fractional coordinates:
K: 0.0684 0.1609 0.1502 x4  6 O 2.73-3.03, 2 H 2.79-2.81
H: 0.0430 0.6009 0.8378 x4  1 O 1.00
H: 0.1633 0.0547 0.7414 x4  1 O 0.98
H: 0.2621 0.5994 0.1037 x4  1 O 1.01
H: 0.2625 0.7325 0.0335 x4  1 O 1.00
H: 0.3626 0.1200 0.5725 x4  1 O 1.00
H: 0.4073 0.5923 0.3967 x4  1 O 1.01
H: 0.4219 0.2437 0.4879 x4  1 O 1.00
H: 0.4659 0.5929 0.6212 x4  1 O 1.01
H: 0.4833 0.0346 0.3408 x4  1 O 0.98
O: 0.0397 0.0718 0.7784 x4  2 H 0.98-1.00
O: 0.1765 0.6640 0.0419 x4  2 H 1.00-1.01
O: 0.3195 0.1831 0.4765 x4  2 H 1.00
O: 0.4070 0.6443 0.5117 x4  2 H 1.01
O: 0.4158 0.0012 0.7176 x4  1 H 0.98

Results
Crystal system: monoclinic


[2]
KH3O2 | GGA-PBE | relaxed

a b c (Å): 5.9601 5.7954 7.9694
angles (deg): 90.00 109.47 90.00
Closest atoms and distances in Å follow each position.
Space group P2_1/c (No. 14)
Inequivalent atoms, fractional coordinates:
K: 0.1979 0.2445 0.4231 x4  10 H 2.80-3.09, 6 O 2.83-2.91
H: 0.2725 0.7153 0.8463 x4  1 O 1.03
H: 0.2727 0.7083 0.5429 x4  1 O 1.03
H: 0.4844 0.0093 0.2465 x4  1 O 0.98
O: 0.1598 0.7443 0.4159 x4  2 H 1.03
O: 0.4444 0.6556 0.7376 x4  1 H 0.98

Results
Crystal system: monoclinic


[3]
K2H4OsO6 | GGA-PBE | relaxed

a b c (Å): 6.4116 6.4116 6.9239
angles (deg): 90.00 90.00 90.00
Closest atoms and distances in Å follow each position.
Space group I4/mmm (No. 139)
Inequivalent atoms, fractional coordinates:
K: 0.0000 0.5000 0.2500 x4  12 O 2.86-3.21, 8 H 2.94
H: 0.1724 0.1724 0.0000 x8  1 O 0.97
Os: 0.0000 0.0000 0.5000 x2  6 O 1.81-2.00
O: 0.0000 0.0000 0.2388 x4  1 Os 1.81
O: 0.2204 0.2204 0.5000 x8  1 H 0.97

Results
Crystal system: tetragonal
Spin magnetization in μB per formula unit: 0.000


[4]
KP2H3O6 | GGA-PBE | relaxed

a b c (Å): 7.2736 11.1539 10.5032
angles (deg): 90.00 131.37 90.00
Closest atoms and distances in Å follow each position.
Space group P2_1/c (No. 14)
Inequivalent atoms, fractional coordinates:
K: 0.0663 0.2485 0.4962 x4  6 O 2.79-3.06
P: 0.3125 0.5313 0.4364 x4  3 O 1.52-1.59
P: 0.4764 0.5834 0.0437 x4  3 O 1.51-1.58
H: 0.0637 0.5758 0.8364 x4  1 O 1.06
H: 0.3389 0.5110 0.6596 x4  1 O 1.03
H: 0.3918 0.7335 0.4006 x4  2 O 1.15-1.27
O: 0.1409 0.0747 0.8411 x4  1 H 1.42, 1 P 1.52
O: 0.2044 0.5826 0.9703 x4  1 H 1.06
O: 0.2551 0.6414 0.3272 x4  1 H 1.27
O: 0.3232 0.5774 0.5843 x4  1 H 1.03
O: 0.3468 0.0892 0.2649 x4  1 P 1.51, 1 H 1.55
O: 0.4885 0.1815 0.5439 x4  1 H 1.15

Results
Crystal system: monoclinic
Spin magnetization in μB per formula unit: 0.001


[5]
KPH3O4 | GGA-PBE | relaxed

a b c (Å): 14.4779 9.0398 6.8147
angles (deg): 90.00 99.53 90.00
Closest atoms and distances in Å follow each position.
Space group P2_1/c (No. 14)
Inequivalent atoms, fractional coordinates:
K: 0.1275 0.1622 0.1173 x4  7 O 2.82-3.00, 1 H 2.86
K: 0.3219 0.6198 0.9132 x4  3 H 2.81-3.07, 8 O 2.82-3.07
P: 0.0608 0.5667 0.0691 x4  3 O 1.52-1.62
P: 0.4871 0.0525 0.8515 x4  3 O 1.53-1.59
H: 0.0809 0.6768 0.7880 x4  1 O 1.03
H: 0.2015 0.5658 0.3968 x4  1 O 1.00
H: 0.3082 0.5472 0.4526 x4  1 O 0.99
H: 0.3153 0.1676 0.5660 x4  1 O 0.99
H: 0.3147 0.2163 0.8958 x4  1 O 0.99
H: 0.4900 0.1593 0.3084 x4  1 O 1.05
O: 0.0231 0.7111 0.1432 x4  1 P 1.53, 1 H 1.56
O: 0.1149 0.5983 0.8839 x4  1 H 1.03
O: 0.1230 0.0270 0.7216 x4  1 P 1.52
O: 0.2554 0.5976 0.4992 x4  2 H 0.99-1.00
O: 0.2750 0.2095 0.4480 x4  2 H 0.99
O: 0.3811 0.0591 0.7789 x4  1 P 1.53
O: 0.4604 0.0544 0.2787 x4  1 H 1.05
O: 0.4608 0.7001 0.6381 x4  1 H 1.47, 1 P 1.53

Results
Crystal system: monoclinic
Spin magnetization in μB per formula unit: 0.000


[6]
K3P2H10O7 | GGA-PBE | relaxed

a b c (Å): 6.6364 9.8002 18.0136
angles (deg): 90.00 91.92 90.00
Closest atoms and distances in Å follow each position.
Space group P2_1/c (No. 14)
Inequivalent atoms, fractional coordinates:
K: 0.0986 0.1453 0.1143 x4  5 O 2.78-3.02, 4 H 2.91-3.09
K: 0.1734 0.0166 0.7071 x4  2 H 2.68-2.92, 5 O 2.82-2.97
K: 0.3325 0.1185 0.4359 x4  2 O 2.69-2.76, 4 H 2.83-2.92
P: 0.3328 0.6399 0.6818 x4  4 O 1.53-1.66
P: 0.3677 0.6876 0.8475 x4  4 O 1.51-1.64
H: 0.0005 0.7308 0.2101 x4  1 H 1.61, 1 O 1.74
H: 0.0376 0.6542 0.5735 x4  1 H 1.78
H: 0.0458 0.6255 0.9925 x4  1 H 1.07
H: 0.1554 0.6296 0.0376 x4  1 H 0.88
H: 0.2158 0.1677 0.2711 x4  1 H 0.77
H: 0.2165 0.1047 0.9451 x4  1 H 0.76
H: 0.2387 0.6492 0.0754 x4  1 H 0.88
H: 0.3263 0.0842 0.9402 x4  1 H 0.76
H: 0.3265 0.1481 0.2645 x4  1 H 0.77
H: 0.4253 0.5824 0.3441 x4  1 O 1.06
O: 0.1048 0.6114 0.6882 x4  1 P 1.55
O: 0.1777 0.6135 0.8680 x4  1 P 1.51
O: 0.3096 0.6557 0.3351 x4  1 H 1.06
O: 0.3849 0.7179 0.1530 x4  1 P 1.53
O: 0.4308 0.5222 0.6401 x4  1 H 1.42, 1 P 1.53
O: 0.4372 0.6315 0.7665 x4  2 P 1.64-1.66
O: 0.4444 0.1687 0.6030 x4  1 P 1.52

Results
Crystal system: monoclinic
Spin magnetization in μB per formula unit: 3.000


no.,ΔH_f (0 K) (kJ per mole of atoms)
1,-130.4
2,-141.6
3,-123.5
4,-197.7
5,-183.5
6,-108.0